10
Lattice="-3.705 7.286 3.617 3.705 -7.286 3.617 3.705 7.286 -3.617" Properties=species:S:1:pos:R:3 comment="Ba2ZnBi2 | the Materials Project database | PBE | optimized geometry" formation_enthalpy_0k_kcal_per_mol_atoms=-17.08 space_group=Ibam density_g_cm3=6.45 dft_energy_ev_per_atom=-3.32 pbc="T T T"
Ba 1.543 1.964 0.000
Ba 1.543 -1.964 3.617
Ba 2.162 9.250 0.000
Ba 2.162 5.322 3.617
Zn 3.705 0.000 1.808
Zn 0.000 7.286 1.808
Bi 5.260 1.651 0.000
Bi 1.555 5.635 0.000
Bi 2.150 1.651 3.617
Bi -1.555 5.635 3.617

***

2
Lattice="3.083 0.000 0.000 0.000 3.083 0.000 0.000 0.000 3.828" Properties=species:S:1:pos:R:3 comment="HgPd | the Materials Project database | PBE | optimized geometry" formation_enthalpy_0k_kcal_per_mol_atoms=-3.91 space_group=P4/mmm density_g_cm3=14.01 dft_energy_ev_per_atom=-2.91 pbc="T T T"
Hg 0.000 0.000 0.000
Pd 1.541 1.541 1.914

***

4
Lattice="4.086 0.000 0.000 0.000 4.086 0.000 0.000 0.000 5.767" Properties=species:S:1:pos:R:3 comment="SmEuS2 | the Materials Project database | PBE | optimized geometry" formation_enthalpy_0k_kcal_per_mol_atoms=-53.92 space_group=P4/mmm density_g_cm3=6.32 dft_energy_ev_per_atom=-7.90 pbc="T T T"
Sm 0.000 0.000 0.000
Eu 2.043 2.043 2.884
S 0.000 0.000 2.884
S 2.043 2.043 0.000